EuGe2Rh2, optimized geometry, DFT r²SCAN; ΔE_f = -4.5 eV per formula unit; SG = I4/mmm (139)
1.0
-3.048 3.348 4.043
-3.407 4.738 -1.670
0.896 -5.820 -1.472
Eu Ge Rh
1 2 2
Cartesian
0.000 0.000 0.000
-2.396 3.002 0.881
-4.059 5.085 1.492
-2.690 0.785 1.879
-2.869 1.481 -0.978